The following is a PBE calculation of a relaxed Li3OsN2 crystal, from Materials Project.

a = 6.7075 Å, b = 8.0452 Å, c = 8.6230 Å
α = 90.00°, β = 127.65°, γ = 90.00°
Closest atoms and distances in Å follow each position.
Fractional coordinates of all 24 atoms:
Li 0.2082 0.0413 0.0198  4 N 2.02-2.21
Li 0.7918 0.5413 0.4802  4 N 2.02-2.21
Li 0.7918 0.9587 0.9802  4 N 2.02-2.21
Li 0.2082 0.4587 0.5198  4 N 2.02-2.21
Li 0.0882 0.3954 0.8467  1 N 2.15
Li 0.9118 0.8954 0.6533  1 N 2.15
Li 0.9118 0.6046 0.1533  1 N 2.15
Li 0.0882 0.1046 0.3467  1 N 2.15
Li 0.6738 0.3161 0.8675  1 N 2.05
Li 0.3262 0.8161 0.6325  1 N 2.05
Li 0.3262 0.6839 0.1325  1 N 2.05
Li 0.6738 0.1839 0.3675  1 N 2.05
Os 0.2091 0.1646 0.7025  2 N 1.77-1.85
Os 0.7909 0.6646 0.7975  2 N 1.77-1.85
Os 0.7909 0.8354 0.2975  2 N 1.77-1.85
Os 0.2091 0.3354 0.2025  2 N 1.77-1.85
N 0.0156 0.8244 0.9339  1 Os 1.77
N 0.9844 0.3244 0.5661  1 Os 1.77
N 0.9844 0.1756 0.0661  1 Os 1.77
N 0.0156 0.6756 0.4339  1 Os 1.77
N 0.5661 0.5277 0.5880  1 N 1.28
N 0.4339 0.0277 0.9120  1 N 1.28
N 0.4339 0.4723 0.4120  1 N 1.28
N 0.5661 0.9723 0.0880  1 N 1.28

Results
energy above the lowest structure with this stoichiometry: 0.000 eV per atom
formation energy: -0.22 eV per atom



The following is a PBE calculation of a relaxed Pa3Al crystal, from Materials Project.

a = 4.5276 Å, b = 4.5276 Å, c = 4.5276 Å
α = 90.00°, β = 90.00°, γ = 90.00°
Closest atoms and distances in Å follow each position.
Fractional coordinates of all 4 atoms:
Pa 0.0000 0.5000 0.5000  8 Pa 3.20, 4 Al 3.20
Pa 0.5000 0.0000 0.5000  8 Pa 3.20, 4 Al 3.20
Pa 0.5000 0.5000 0.0000  8 Pa 3.20, 4 Al 3.20
Al 0.0000 0.0000 0.0000  12 Pa 3.20

Results
energy above the lowest structure with this stoichiometry: 0.008 eV per atom
formation energy: -0.09 eV per atom



The following is a PBE calculation of a relaxed KCu2P2H3O8F2 crystal, from Materials Project.

a = 5.6251 Å, b = 5.6251 Å, c = 7.9799 Å
α = 66.58°, β = 66.58°, γ = 70.50°
Closest atoms and distances in Å follow each position.
Fractional coordinates of all 18 atoms:
K 0.0000 0.0000 0.0000  6 O 2.73-2.82, 2 F 2.90
Cu 0.5000 0.0000 0.5000  4 O 1.96-2.05
Cu 0.0000 0.5000 0.5000  4 O 1.96-2.05
P 0.4348 0.4348 0.7601  3 O 1.51-1.53, 1 F 1.63
P 0.5652 0.5652 0.2399  3 O 1.51-1.53, 1 F 1.63
H 0.0000 0.0000 0.5000  2 O 1.22
H 0.7960 0.7960 0.7062  1 O 0.98
H 0.2040 0.2040 0.2938  1 O 0.98
O 0.3113 0.3113 0.6866  1 P 1.51
O 0.6887 0.6887 0.3134  1 P 1.51
O 0.3350 0.7341 0.7278  1 P 1.53
O 0.7341 0.3350 0.7278  1 P 1.53
O 0.6650 0.2659 0.2722  1 P 1.53
O 0.2659 0.6650 0.2722  1 P 1.53
O 0.1514 0.1514 0.4344  1 H 0.98
O 0.8486 0.8486 0.5656  1 H 0.98
F 0.3191 0.3191 0.9927  1 P 1.63
F 0.6809 0.6809 0.0073  1 P 1.63

Results
formation energy: -2.01 eV per atom



The following is a PBE calculation of a relaxed EuTlHg2 crystal, from Materials Project.

a = 5.3677 Å, b = 5.3677 Å, c = 5.3677 Å
α = 60.00°, β = 60.00°, γ = 60.00°
Closest atoms and distances in Å follow each position.
Fractional coordinates of all 4 atoms:
Eu 0.5000 0.5000 0.5000  8 Hg 3.29
Tl 0.0000 0.0000 0.0000  8 Hg 3.29
Hg 0.2500 0.2500 0.2500  4 Tl 3.29, 4 Eu 3.29
Hg 0.7500 0.7500 0.7500  4 Tl 3.29, 4 Eu 3.29

Results
formation energy: -0.38 eV per atom